Record 1
Below is crystalline Ce4SmO10 at its relaxed geometry, with properties calculated at the PBE level.

a b c (Å): 6.7145 6.7145 6.7145
angles (deg): 99.57 99.57 131.89
Closest atoms and distances in Å follow each position.
Fractional positions:
Ce1 0.1006 0.2991 0.3997  8 O 2.35-2.38
Ce2 0.2991 0.8994 0.1985  8 O 2.35-2.38
Ce3 0.7009 0.1006 0.8015  8 O 2.35-2.38
Ce4 0.8994 0.7009 0.6003  8 O 2.35-2.38
Sm1 0.5000 0.5000 0.0000  8 O 2.41
O1 0.0422 0.1441 0.6950  3 Ce 2.35-2.36, 1 Sm 2.41
O2 0.1441 0.4491 0.1019  3 Ce 2.35-2.36, 1 Sm 2.41
O3 0.2500 0.7500 0.5000  4 Ce 2.38
O4 0.3472 0.0422 0.8981  3 Ce 2.35-2.36, 1 Sm 2.41
O5 0.4491 0.3472 0.3050  3 Ce 2.35-2.36, 1 Sm 2.41
O6 0.5509 0.6528 0.6950  3 Ce 2.35-2.36, 1 Sm 2.41
O7 0.6528 0.9578 0.1019  3 Ce 2.35-2.36, 1 Sm 2.41
O8 0.7500 0.2500 0.5000  4 Ce 2.38
O9 0.8559 0.5509 0.8981  3 Ce 2.35-2.36, 1 Sm 2.41
O10 0.9578 0.8559 0.3050  3 Ce 2.35-2.36, 1 Sm 2.41

Properties
calculated total energy	-8.498	eV/atom
crystal system	tetragonal
space-group type	I4/m (87)
spin magnetization	1.000	Bohr magnetons per cell
energy of formation from the pure elements	-3760	meV per atom

---

Record 2
Below is crystalline Ce4SmO9 at its relaxed geometry, with properties calculated at the PBE level.

a b c (Å): 10.4485 10.4485 10.4485
angles (deg): 158.93 37.64 149.17
Closest atoms and distances in Å follow each position.
Fractional positions:
Ce1 0.1069 0.0000 0.1069  7 O 2.26-2.43
Ce2 0.2952 0.9949 0.3003  7 O 2.34-2.47
Ce3 0.6946 0.9949 0.6997  7 O 2.34-2.47
Ce4 0.8931 0.0000 0.8931  7 O 2.26-2.43
Sm1 0.4398 0.9398 0.5000  6 O 2.28-2.38
O1 0.0437 0.2463 0.7973  4 Ce 2.34-2.38
O2 0.1317 0.7377 0.3940  3 Ce 2.32-2.34, 1 Sm 2.38
O3 0.2149 0.2149 0.0000  2 Sm 2.28, 2 Ce 2.43
O4 0.3437 0.7377 0.6060  3 Ce 2.32-2.34, 1 Sm 2.38
O5 0.4490 0.2463 0.2027  4 Ce 2.34-2.38
O6 0.5510 0.7474 0.8036  4 Ce 2.26-2.47
O7 0.6620 0.2457 0.4163  1 Sm 2.37, 2 Ce 2.42
O8 0.8294 0.2457 0.5837  1 Sm 2.37, 2 Ce 2.42
O9 0.9438 0.7474 0.1964  4 Ce 2.26-2.47

Properties
calculated total energy	-8.668	eV/atom
crystal system	orthorhombic
space-group type	Imm2 (44)
spin magnetization	0.983	Bohr magnetons per cell
energy of formation from the pure elements	-3896	meV per atom

---

Record 3
Below is crystalline Ce5Sm2O13 at its relaxed geometry, with properties calculated at the PBE level.

a b c (Å): 22.5002 22.5002 22.5002
angles (deg): 9.83 9.83 9.83
Closest atoms and distances in Å follow each position.
Fractional positions:
Ce1 0.0000 0.0000 0.0000  8 O 2.33-2.43
Ce2 0.1423 0.1423 0.1423  8 O 2.32-2.44
Ce3 0.2863 0.2863 0.2863  7 O 2.29-2.37
Ce4 0.4284 0.4284 0.4284  8 O 2.32-2.46
Ce5 0.7142 0.7142 0.7142  8 O 2.33-2.46
Sm1 0.5721 0.5721 0.5721  5 O 2.19-2.38
Sm2 0.8542 0.8542 0.8542  7 O 2.32-2.56
O1 0.0347 0.0347 0.0347  4 Ce 2.33-2.39
O2 0.1060 0.1060 0.1060  4 Ce 2.34-2.44
O3 0.1768 0.1768 0.1768  1 Ce 2.32, 3 Sm 2.34
O4 0.2454 0.2454 0.2454  3 Sm 2.27
O5 0.3205 0.3205 0.3205  4 Ce 2.29-2.39
O6 0.3918 0.3918 0.3918  4 Ce 2.34-2.46
O7 0.4629 0.4629 0.4629  4 Ce 2.32-2.38
O8 0.5395 0.5395 0.5395  1 Sm 2.19
O9 0.6076 0.6076 0.6076  3 Ce 2.37, 1 Sm 2.38
O10 0.6776 0.6776 0.6776  4 Ce 2.34-2.46
O11 0.7489 0.7489 0.7489  4 Ce 2.33-2.39
O12 0.8196 0.8196 0.8196  1 Sm 2.32, 3 Ce 2.34
O13 0.9638 0.9638 0.9638  4 Ce 2.34-2.43

Properties
calculated total energy	-8.601	eV/atom
crystal system	trigonal
space-group type	R3m (160)
spin magnetization	0.007	Bohr magnetons per cell
energy of formation from the pure elements	-3876	meV per atom

---

Record 4
Below is crystalline Ce3SnO8 at its relaxed geometry, with properties calculated at the PBE level.

a b c (Å): 12.7097 12.7097 12.7097
angles (deg): 17.24 17.24 17.24
Closest atoms and distances in Å follow each position.
Fractional positions:
Ce1 0.0000 0.0000 0.0000  8 O 2.34-2.40
Ce2 0.2479 0.2479 0.2479  8 O 2.34-2.40
Ce3 0.7521 0.7521 0.7521  8 O 2.34-2.40
Sn1 0.5000 0.5000 0.5000  8 O 2.20-2.30
O1 0.0640 0.0640 0.0640  4 Ce 2.34-2.40
O2 0.1844 0.1844 0.1844  3 Sn 2.30, 1 Ce 2.39, 3 O 2.57
O3 0.3118 0.3118 0.3118  4 Ce 2.34-2.40
O4 0.4414 0.4414 0.4414  1 Sn 2.20, 3 Ce 2.36
O5 0.5586 0.5586 0.5586  1 Sn 2.20, 3 Ce 2.36
O6 0.6882 0.6882 0.6882  4 Ce 2.34-2.40
O7 0.8156 0.8156 0.8156  3 Sn 2.30, 1 Ce 2.39, 3 O 2.57
O8 0.9360 0.9360 0.9360  4 Ce 2.34-2.40

Properties
calculated total energy	-8.033	eV/atom
crystal system	trigonal
space-group type	R-3m (166)
spin magnetization	0.000	Bohr magnetons per cell
energy of formation from the pure elements	-3375	meV per atom

---

Record 5
Below is crystalline Ce3SnO8 at its relaxed geometry, with properties calculated at the PBE level.

a b c (Å): 3.8144 3.8144 10.8242
angles (deg): 90.00 90.00 90.00
Closest atoms and distances in Å follow each position.
Fractional positions:
Ce1 0.0000 0.0000 0.0000  8 O 2.35
Ce2 0.5000 0.5000 0.2541  8 O 2.35-2.36
Ce3 0.5000 0.5000 0.7459  8 O 2.35-2.36
Sn1 0.0000 0.0000 0.5000  8 O 2.29
O1 0.0000 0.5000 0.1274  4 Ce 2.35
O2 0.0000 0.5000 0.3832  2 Sn 2.29, 2 Ce 2.36, 1 O 2.53
O3 0.0000 0.5000 0.6168  2 Sn 2.29, 2 Ce 2.36, 1 O 2.53
O4 0.0000 0.5000 0.8726  4 Ce 2.35
O5 0.5000 0.0000 0.1274  4 Ce 2.35
O6 0.5000 0.0000 0.3832  2 Sn 2.29, 2 Ce 2.36, 1 O 2.53
O7 0.5000 0.0000 0.6168  2 Sn 2.29, 2 Ce 2.36, 1 O 2.53
O8 0.5000 0.0000 0.8726  4 Ce 2.35

Properties
calculated total energy	-8.010	eV/atom
crystal system	tetragonal
space-group type	P4/mmm (123)
spin magnetization	0.001	Bohr magnetons per cell
energy of formation from the pure elements	-3352	meV per atom

---

Record 6
Below is crystalline Sr2CeSnO6 at its relaxed geometry, with properties calculated at the PBE level.

a b c (Å): 6.0464 6.0464 6.0464
angles (deg): 60.00 60.00 60.00
Closest atoms and distances in Å follow each position.
Fractional positions:
Sr1 0.2500 0.2500 0.2500  12 O 3.02
Sr2 0.7500 0.7500 0.7500  12 O 3.02
Ce1 0.0000 0.0000 0.0000  6 O 2.20
Sn1 0.5000 0.5000 0.5000  6 O 2.07
O1 0.2578 0.2578 0.7422  1 Sn 2.07, 1 Ce 2.20
O2 0.2578 0.7422 0.2578  1 Sn 2.07, 1 Ce 2.20
O3 0.2578 0.7422 0.7422  1 Sn 2.07, 1 Ce 2.20
O4 0.7422 0.2578 0.2578  1 Sn 2.07, 1 Ce 2.20
O5 0.7422 0.2578 0.7422  1 Sn 2.07, 1 Ce 2.20
O6 0.7422 0.7422 0.2578  1 Sn 2.07, 1 Ce 2.20

Properties
E above lowest polymorph	52	meV per atom
calculated total energy	-6.947	eV/atom
crystal system	cubic
space-group type	Fm-3m (225)
spin magnetization	0.000	Bohr magnetons per cell
energy of formation from the pure elements	-3058	meV per atom

---

Record 7
Below is crystalline Sr2CeSnO6 at its relaxed geometry, with properties calculated at the PBE level.

a b c (Å): 8.4834 8.4834 8.4834
angles (deg): 90.00 90.00 90.00
Closest atoms and distances in Å follow each position.
Fractional positions:
Sr1 0.2500 0.2500 0.2500  12 O 2.99
Sr2 0.2500 0.2500 0.7500  4 O 2.56
Sr3 0.2500 0.7500 0.2500  4 O 2.56
Sr4 0.2500 0.7500 0.7500  4 O 2.56
Sr5 0.7500 0.2500 0.2500  4 O 2.56
Sr6 0.7500 0.2500 0.7500  4 O 2.56
Sr7 0.7500 0.7500 0.2500  4 O 2.56
Sr8 0.7500 0.7500 0.7500  12 O 2.99
Ce1 0.0000 0.0000 0.0000  6 O 2.23
Ce2 0.0000 0.5000 0.5000  6 O 2.23
Ce3 0.5000 0.0000 0.5000  6 O 2.23
Ce4 0.5000 0.5000 0.0000  6 O 2.23
Sn1 0.0000 0.0000 0.5000  6 O 2.10
Sn2 0.0000 0.5000 0.0000  6 O 2.10
Sn3 0.5000 0.0000 0.0000  6 O 2.10
Sn4 0.5000 0.5000 0.5000  6 O 2.10
O1 0.0326 0.5402 0.7583  1 Sn 2.10, 1 Ce 2.23
O2 0.0326 0.9598 0.7417  1 Sn 2.10, 1 Ce 2.23
O3 0.0402 0.2417 0.5326  1 Sn 2.10, 1 Ce 2.23
O4 0.0402 0.2583 0.9674  1 Sn 2.10, 1 Ce 2.23
O5 0.2417 0.5326 0.0402  1 Sn 2.10, 1 Ce 2.23
O6 0.2417 0.9674 0.4598  1 Sn 2.10, 1 Ce 2.23
O7 0.2583 0.5326 0.4598  1 Sn 2.10, 1 Ce 2.23
O8 0.2583 0.9674 0.0402  1 Sn 2.10, 1 Ce 2.23
O9 0.4598 0.2417 0.9674  1 Sn 2.10, 1 Ce 2.23
O10 0.4598 0.2583 0.5326  1 Sn 2.10, 1 Ce 2.23
O11 0.4674 0.5402 0.7417  1 Sn 2.10, 1 Ce 2.23
O12 0.4674 0.9598 0.7583  1 Sn 2.10, 1 Ce 2.23
O13 0.5326 0.0402 0.2417  1 Sn 2.10, 1 Ce 2.23
O14 0.5326 0.4598 0.2583  1 Sn 2.10, 1 Ce 2.23
O15 0.5402 0.7417 0.4674  1 Sn 2.10, 1 Ce 2.23
O16 0.5402 0.7583 0.0326  1 Sn 2.10, 1 Ce 2.23
O17 0.7417 0.0326 0.9598  1 Sn 2.10, 1 Ce 2.23
O18 0.7417 0.4674 0.5402  1 Sn 2.10, 1 Ce 2.23
O19 0.7583 0.0326 0.5402  1 Sn 2.10, 1 Ce 2.23
O20 0.7583 0.4674 0.9598  1 Sn 2.10, 1 Ce 2.23
O21 0.9598 0.7417 0.0326  1 Sn 2.10, 1 Ce 2.23
O22 0.9598 0.7583 0.4674  1 Sn 2.10, 1 Ce 2.23
O23 0.9674 0.0402 0.2583  1 Sn 2.10, 1 Ce 2.23
O24 0.9674 0.4598 0.2417  1 Sn 2.10, 1 Ce 2.23

Properties
E above lowest polymorph	0	meV per atom
calculated total energy	-6.999	eV/atom
crystal system	cubic
space-group type	Pn-3 (201)
spin magnetization	0.000	Bohr magnetons per cell
energy of formation from the pure elements	-3110	meV per atom